{"formula": "Ba2PrIrO6", "functional": "PBE-GGA", "state": "relaxed", "lattice": [[6.089, 0.000, 0.000], [0.000, 6.089, 0.000], [0.000, 0.000, 8.656]], "species": ["Ba", "Ba", "Ba", "Ba", "Pr", "Pr", "Ir", "Ir", "O", "O", "O", "O", "O", "O", "O", "O", "O", "O", "O", "O"], "fractional_positions": [[0.000, 0.500, 0.250], [0.000, 0.500, 0.750], [0.500, 0.000, 0.250], [0.500, 0.000, 0.750], [0.000, 0.000, 0.000], [0.500, 0.500, 0.500], [0.000, 0.000, 0.500], [0.500, 0.500, 0.000], [0.000, 0.000, 0.270], [0.000, 0.000, 0.730], [0.209, 0.251, 0.500], [0.249, 0.291, 0.000], [0.251, 0.791, 0.500], [0.291, 0.751, 0.000], [0.500, 0.500, 0.230], [0.500, 0.500, 0.770], [0.709, 0.249, 0.000], [0.749, 0.209, 0.500], [0.751, 0.709, 0.000], [0.791, 0.749, 0.500]], "space_group": "P4/mnc", "formation_energy_ev_per_atom": -2.672, "rho_g_cm3": 7.3, "energy_mp2020_ev_per_atom": -7.39}